[1]
Na2ZnPO5: relaxed, PBE.

Computed properties:
- Crystal system: monoclinic

abc: 8.6511 9.9068 5.8479
angles: 90.00 104.50 90.00
Closest atoms and distances in Å follow each position.
Space group P2_1/c (No. 14)
Unique sites:
Na (0.1202, 0.1693, 0.3566) [4 per cell]  4 O 2.31-2.37
Na (0.2022, 0.6420, 0.8171) [4 per cell]  5 O 2.34-2.48
Zn (0.4854, 0.1423, 0.2297) [4 per cell]  4 O 1.92-1.98
P (0.2047, 0.0068, 0.8602) [4 per cell]  4 O 1.54-1.58
O (0.0808, 0.1068, 0.7185) [4 per cell]  1 P 1.54
O (0.1365, 0.6346, 0.3822) [4 per cell]  1 P 1.54
O (0.2707, 0.0635, 0.1197) [4 per cell]  1 P 1.58
O (0.3437, 0.5043, 0.2312) [4 per cell]  1 P 1.58
O (0.4780, 0.7032, 0.9467) [4 per cell]  2 Zn 1.92-1.94



[2]
K3TmCl6: relaxed, PBE.

Computed properties:
- Crystal system: cubic

abc: 11.1414 11.1414 11.1414
angles: 90.00 90.00 90.00
Closest atoms and distances in Å follow each position.
Space group Fm-3m (No. 225)
Unique sites:
K (0.0000, 0.0000, 0.0000) [4 per cell]  6 Cl 2.98
K (0.2500, 0.2500, 0.2500) [8 per cell]  12 Cl 3.94
Tm (0.0000, 0.0000, 0.5000) [4 per cell]  6 Cl 2.59
Cl (0.0000, 0.0000, 0.2672) [24 per cell]  1 Tm 2.59



[3]
Zr4Sn3: relaxed, PBE.

Computed properties:
- E above lowest polymorph: 124 meV per atom
- Crystal system: hexagonal

abc: 8.2926 8.2926 5.5881
angles: 90.00 90.00 120.00
Closest atoms and distances in Å follow each position.
Space group P6_3/m (No. 176)
Unique sites:
Zr (0.0962, 0.6387, 0.2500) [6 per cell]  5 Sn 2.98-3.16, 3 Zr 3.17-3.22
Zr (0.3333, 0.6667, 0.7500) [2 per cell]  3 Sn 2.99, 3 Zr 3.17
Sn (0.0510, 0.7900, 0.7500) [6 per cell]  6 Zr 2.98-3.16



Number 1: DFT formation energy -2.19 eV per atom. Number 2: DFT formation energy -2.43 eV per atom. Number 3: DFT formation energy -0.21 eV per atom.